1 | Below is a relaxed structure of V3H6O10, with properties calculated at the PBE+U level.

Cell: 8.9575 5.9451 9.0778 Å, 88.32 90.00 90.00°
With the nearest neighbours (Å) after each atom.
Fractional coordinates of all 38 atoms:
H  0.3916  0.8540  0.2534  1 O 0.98
H  0.4623  0.8172  0.4081  1 O 0.98
H  0.6084  0.8540  0.7534  1 O 0.98
H  0.1133  0.9238  0.6403  1 O 0.98
H  0.8177  0.6649  0.8905  1 O 1.00
H  0.0450  0.7170  0.7266  1 O 0.98
H  0.8867  0.9238  0.1403  1 O 0.98
H  0.1823  0.6649  0.3905  1 O 1.00
H  0.3111  0.6501  0.6764  1 O 1.01
H  0.5377  0.8172  0.9081  1 O 0.98
H  0.9550  0.7170  0.2266  1 O 0.98
H  0.6889  0.6501  0.1764  1 O 1.01
O  0.3805  0.7681  0.3459  2 H 0.98
O  0.1640  0.1714  0.1961  1 V 1.72
O  0.0979  0.5731  0.3539  1 H 1.00
O  0.9021  0.5731  0.8539  1 H 1.00
O  0.1281  0.7629  0.6621  2 H 0.98
O  0.0567  0.1667  0.9117  1 V 1.71
O  0.7422  0.5251  0.4930  1 V 1.62
O  0.3376  0.1640  0.8050  1 V 1.70
O  0.8719  0.7629  0.1621  2 H 0.98
O  0.8360  0.1714  0.6961  1 V 1.72
O  0.5554  0.1476  0.5863  1 V 1.72
O  0.2578  0.5251  0.9930  1 V 1.62
O  0.2443  0.1972  0.5053  2 V 1.79-1.82
O  0.4446  0.1476  0.0863  1 V 1.72
O  0.6195  0.7681  0.8459  2 H 0.98
O  0.6624  0.1640  0.3050  1 V 1.70
O  0.3998  0.5631  0.6400  1 H 1.01
O  0.7557  0.1972  0.0053  2 V 1.79-1.82
O  0.6002  0.5631  0.1400  1 H 1.01
O  0.9433  0.1667  0.4117  1 V 1.71
V  0.7488  0.2529  0.4992  1 O 1.62
V  0.1136  0.2743  0.3635  4 O 1.71-1.79
V  0.3892  0.2674  0.6362  4 O 1.70-1.82
V  0.8864  0.2743  0.8635  4 O 1.71-1.79
V  0.6108  0.2674  0.1362  4 O 1.70-1.82
V  0.2512  0.2529  0.9992  1 O 1.62

2 | Below is a relaxed structure of V3H6O10, with properties calculated at the PBE+U level.

Cell: 6.0302 8.9822 9.0519 Å, 90.38 96.02 91.60°
With the nearest neighbours (Å) after each atom.
Fractional coordinates of all 38 atoms:
O  0.1918  0.6932  0.4019  1 V 1.72
O  0.1862  0.1865  0.0745  1 V 1.72
O  0.5321  0.1835  0.6677  1 H 1.37
O  0.2001  0.9091  0.1803  1 V 1.72
O  0.5651  0.6086  0.8566  1 H 1.04
O  0.1586  0.0748  0.7924  1 V 1.74
O  0.5249  0.4799  0.5113  1 H 1.48, 1 V 1.66
O  0.1252  0.3013  0.5568  1 H 1.74, 1 V 1.77
O  0.2077  0.7982  0.9045  1 V 1.71
O  0.5577  0.3771  0.1472  1 H 1.52
O  0.1814  0.4891  0.9749  2 V 1.79-1.81
O  0.1622  0.4144  0.2882  1 V 1.74
O  0.7246  0.2762  0.3919  3 H 1.01-1.05
O  0.7392  0.2475  0.9070  3 H 0.99-1.09
O  0.2158  0.9968  0.4898  2 V 1.79-1.81
O  0.5916  0.8637  0.3755  1 H 1.04
O  0.8014  0.6542  0.1001  2 H 0.97-0.98
O  0.1548  0.5875  0.6710  1 V 1.73
O  0.5536  0.0175  0.0061  1 H 1.52, 1 V 1.66
O  0.7885  0.8402  0.6370  2 H 0.98
H  0.6867  0.3098  0.2822  1 O 1.04
H  0.6805  0.8547  0.4803  1 O 1.04
H  0.8855  0.7544  0.6488  1 O 0.98
H  0.6808  0.3310  0.9626  1 O 0.99
H  0.8785  0.9249  0.6807  1 O 0.98
H  0.6675  0.6416  0.9518  1 O 1.04
H  0.8876  0.2769  0.4305  1 O 1.01
H  0.6850  0.1524  0.9588  1 O 1.04
H  0.6537  0.2334  0.7957  1 O 1.09
H  0.8360  0.7470  0.1552  1 O 0.97
H  0.6464  0.3550  0.4535  1 O 1.05
H  0.7343  0.5827  0.1647  1 O 0.98
V  0.2758  0.6248  0.8492  4 O 1.71-1.79
V  0.2719  0.3658  0.1252  4 O 1.71-1.81
V  0.2592  0.1414  0.6312  4 O 1.68-1.81
V  0.2994  0.8644  0.3588  4 O 1.72-1.79
V  0.2780  0.9991  0.9922  1 O 1.66
V  0.2503  0.4952  0.4883  1 O 1.66

3 | Below is a relaxed structure of V3H6O10, with properties calculated at the PBE+U level.

Cell: 6.1125 8.9273 9.0133 Å, 88.53 85.10 79.97°
With the nearest neighbours (Å) after each atom.
Fractional coordinates of all 38 atoms:
O  0.2236  0.6500  0.8277  3 H 0.99-1.06
O  0.7936  0.0693  0.1971  1 V 1.70
O  0.3908  0.1884  0.3628  1 H 1.06
O  0.4348  0.8489  0.7028  1 H 1.51, 1 V 1.68
O  0.2466  0.2442  0.0985  3 H 1.02-1.06
O  0.4529  0.5554  0.5049  1 H 1.11
O  0.4508  0.4066  0.9111  2 H 1.44-1.56
O  0.2673  0.7881  0.3840  2 H 0.98-1.00
O  0.8551  0.5597  0.3101  2 V 1.76-1.91
O  0.4723  0.9990  0.0109  1 H 1.44
O  0.8124  0.3920  0.6872  1 V 1.74
O  0.8242  0.1720  0.9163  1 V 1.72
O  0.8309  0.6723  0.5824  1 V 1.74
O  0.8558  0.4784  0.9917  2 V 1.80-1.82
O  0.8882  0.7824  0.0735  2 V 1.77-1.96
O  0.4941  0.6671  0.1444  1 V 1.65, 1 H 1.68
O  0.7947  0.2897  0.4166  1 V 1.72
O  0.8397  0.8949  0.8021  1 V 1.73
O  0.2106  0.1471  0.6176  2 H 0.98
O  0.7403  0.9886  0.5034  2 V 1.78-1.83
H  0.1137  0.6975  0.9074  1 O 0.99
H  0.2989  0.1750  0.4657  1 O 1.06
H  0.2856  0.2428  0.2060  1 O 1.02
H  0.1047  0.8098  0.3954  1 O 0.98
H  0.3261  0.1368  0.0575  1 O 1.06
H  0.3227  0.5484  0.8645  1 O 1.06
H  0.3581  0.6600  0.4569  1 O 1.11
H  0.3162  0.7599  0.2780  1 O 1.00
H  0.2431  0.0422  0.6566  1 O 0.98
H  0.3194  0.3215  0.0327  1 O 1.03
H  0.0558  0.1924  0.6480  1 O 0.98
H  0.3134  0.7303  0.7786  1 O 1.04
V  0.7686  0.6227  0.1342  4 O 1.65-1.82
V  0.7480  0.9819  0.0010  1 O 1.66
V  0.7353  0.4973  0.5003  2 O 1.71-1.91
V  0.7348  0.3604  0.8743  4 O 1.72-1.80
V  0.6854  0.1353  0.3679  4 O 1.70-1.78
V  0.7063  0.8489  0.6522  4 O 1.68-1.83

Relative energy table, unit eV/atom: 1 0.027; 2 0.007; 3 0.000

1 | Below is a relaxed structure of V3H6O10, with properties calculated at the PBE+U level.

Cell: 5.8171 8.8116 9.1138 Å, 88.61 87.39 85.33°
With the nearest neighbours (Å) after each atom.
Fractional coordinates of all 38 atoms:
H  0.3033  0.3655  0.0989  1 O 0.98
H  0.3485  0.0978  0.0734  1 O 1.02
H  0.2886  0.7717  0.2510  1 O 0.99
H  0.2758  0.2724  0.2481  1 O 0.98
H  0.2527  0.0994  0.6232  1 O 0.98
H  0.3114  0.7664  0.7385  2 O 1.16-1.28
H  0.0223  0.2987  0.6602  1 O 1.06
H  0.3538  0.6112  0.4402  1 O 1.02
H  0.2966  0.8776  0.3866  1 O 0.97
H  0.1606  0.1291  0.7843  1 O 0.98
H  0.1529  0.7123  0.8998  1 O 0.98
H  0.3266  0.5769  0.8273  1 O 1.02
O  0.8177  0.1851  0.9168  1 V 1.72
O  0.2475  0.2721  0.1426  2 H 0.98
O  0.8163  0.2962  0.4101  2 V 1.75-1.90
O  0.2087  0.1807  0.6929  2 H 0.98
O  0.8224  0.5794  0.3067  2 V 1.76-1.88
O  0.4155  0.1405  0.3958  1 V 1.66
O  0.7747  0.0712  0.1894  2 V 1.75-1.89
O  0.8763  0.4938  0.9883  2 V 1.79-1.84
O  0.8728  0.8041  0.0703  2 V 1.77-1.92
O  0.8084  0.9807  0.5003  2 V 1.79-1.81
O  0.7944  0.6711  0.5944  1 V 1.73
O  0.2235  0.6734  0.8068  2 H 0.98-1.02
O  0.4738  0.6483  0.1094  1 V 1.65
O  0.8854  0.3858  0.6717  1 H 1.06
O  0.4312  0.5135  0.4836  1 H 1.02
O  0.8079  0.9089  0.8079  1 V 1.74
O  0.4211  0.0083  0.0142  1 H 1.02
O  0.4783  0.4210  0.8567  1 H 1.60, 1 V 1.65
O  0.4098  0.8675  0.6600  1 H 1.28
O  0.2524  0.7788  0.3577  2 H 0.97-0.99
V  0.7054  0.8558  0.6423  4 O 1.71-1.79
V  0.7339  0.4916  0.4882  4 O 1.76-1.94
V  0.7557  0.6317  0.1247  4 O 1.65-1.84
V  0.7262  0.9940  0.0026  5 O 1.77-1.97
V  0.7004  0.1250  0.3705  4 O 1.66-1.81
V  0.7579  0.3721  0.8613  3 O 1.65-1.79

2 | Below is a relaxed structure of V3H6O10, with properties calculated at the PBE+U level.

Cell: 6.1099 8.9069 9.0721 Å, 88.65 86.15 81.80°
With the nearest neighbours (Å) after each atom.
Fractional coordinates of all 38 atoms:
H  0.3084  0.5864  0.8456  1 O 0.99
H  0.2854  0.8494  0.4122  1 O 0.98
H  0.9997  0.2975  0.6619  1 O 1.09
H  0.3321  0.7316  0.2724  1 O 1.03
H  0.1209  0.7228  0.8941  1 O 0.98
H  0.2880  0.2240  0.2341  1 O 1.01
H  0.3374  0.7885  0.7322  1 O 1.08
H  0.1989  0.0963  0.6980  1 O 0.98
H  0.2699  0.1820  0.5513  1 O 1.00
H  0.3407  0.1279  0.0628  2 O 1.20-1.22
H  0.3458  0.6548  0.4472  2 O 1.15-1.28
H  0.2910  0.3287  0.0835  1 O 0.98
O  0.7846  0.2958  0.4108  2 V 1.73-1.94
O  0.4194  0.8691  0.6672  1 H 1.08
O  0.2570  0.7513  0.3771  2 H 0.98-1.03
O  0.2225  0.6824  0.8121  2 H 0.98-0.99
O  0.4033  0.1561  0.3853  2 H 1.65-1.67, 1 V 1.69
O  0.8280  0.1772  0.9229  1 V 1.72
O  0.8417  0.5739  0.3125  2 V 1.75-1.91
O  0.2403  0.2376  0.1291  2 H 0.98-1.01
O  0.8622  0.4855  0.9983  2 V 1.80-1.83
O  0.4572  0.5406  0.5086  1 H 1.28
O  0.1975  0.1972  0.6533  2 H 0.98-1.00
O  0.7832  0.9836  0.5026  2 V 1.78-1.82
O  0.8135  0.6743  0.5969  1 V 1.71
O  0.4484  0.0203  0.0044  1 H 1.20
O  0.8641  0.7966  0.0755  2 V 1.75-1.94
O  0.8546  0.3824  0.6808  1 H 1.09
O  0.8136  0.9036  0.8068  1 V 1.72
O  0.7718  0.0703  0.1948  1 V 1.72
O  0.4778  0.4093  0.8913  1 V 1.65, 1 H 1.81
O  0.4845  0.6631  0.1419  1 H 1.54, 1 V 1.67
V  0.7342  0.4954  0.4974  1 O 1.68
V  0.6840  0.1302  0.3710  4 O 1.69-1.82
V  0.7498  0.3647  0.8758  3 O 1.65-1.80
V  0.7099  0.8557  0.6457  4 O 1.71-1.78
V  0.7291  0.9929  0.0031  1 O 1.70
V  0.7602  0.6304  0.1357  4 O 1.67-1.83

Relative energy table, unit eV/atom: 1 0.020; 2 0.000

1 | Below is a relaxed structure of V3H5O8, with properties calculated at the PBE+U level.

Cell: 9.8197 9.8197 4.8111 Å, 75.86 75.86 18.20°
With the nearest neighbours (Å) after each atom.
Fractional coordinates of all 16 atoms:
O  0.7170  0.7170  0.3572  1 H 1.60
O  0.2827  0.2827  0.6404  1 H 1.61
O  0.3391  0.3391  0.0801  1 H 1.02
O  0.6627  0.6627  0.9124  1 H 1.02
O  0.0929  0.0929  0.5774  2 V 1.75-1.94
O  0.9061  0.9061  0.4194  2 V 1.74-1.94
O  0.4679  0.4679  0.7943  2 H 1.05-1.06
O  0.5303  0.5303  0.2008  1 H 1.02
H  0.3116  0.3116  0.9257  1 O 1.02
H  0.6886  0.6886  0.0722  1 O 1.02
H  0.4953  0.4953  0.9573  1 O 1.05
H  0.5832  0.5832  0.0974  1 O 1.02
H  0.4132  0.4132  0.9058  1 O 1.06
V  0.1795  0.1795  0.6228  1 O 1.75
V  0.8193  0.8193  0.3777  1 O 1.74
V  0.0013  0.0013  0.4815  6 O 1.94-2.15

2 | Below is a relaxed structure of V3H5O8, with properties calculated at the PBE+U level.

Cell: 10.1393 10.1531 4.9296 Å, 77.35 102.77 162.60°
With the nearest neighbours (Å) after each atom.
Fractional coordinates of all 16 atoms:
O  0.7167  0.2956  0.6390  1 H 1.02
O  0.4946  0.5338  0.2518  1 H 0.99
O  0.1047  0.9093  0.4273  2 V 1.75-1.92
O  0.8675  0.0434  0.5764  1 H 0.98
O  0.5089  0.4474  0.7642  2 H 1.71-1.82, 1 V 1.78
O  0.3375  0.6742  0.9096  1 H 1.01
O  0.6619  0.3409  0.0776  1 H 1.01
O  0.2758  0.7241  0.3612  1 H 1.70
V  0.8191  0.1905  0.6457  6 O 1.99-2.11
V  0.0500  0.0306  0.5208  3 O 1.78-1.98
V  0.1820  0.8224  0.3590  2 O 1.75-1.92
H  0.4981  0.5102  0.0707  1 O 0.99
H  0.6114  0.3883  0.9696  1 O 1.01
H  0.6982  0.3115  0.8185  1 O 1.02
H  0.3138  0.6904  0.0797  1 O 1.01
H  0.5484  0.7297  0.5439  1 O 0.98

Relative energy table, unit eV/atom: 1 0.000; 2 0.060

1 | Below is a relaxed structure of H2W2O7, with properties calculated at the PBE+U level.

Cell: 6.9435 7.0553 7.2376 Å, 111.46 90.47 114.68°
With the nearest neighbours (Å) after each atom.
Fractional coordinates of all 22 atoms:
O  0.1519  0.8136  0.4361  1 H 0.98
O  0.1258  0.1140  0.8199  1 W 1.85
O  0.9314  0.9823  0.2784  2 W 1.91-1.95
O  0.8211  0.7634  0.5326  3 W 2.06-2.22
O  0.6745  0.3618  0.3999  1 W 1.86
O  0.3217  0.2811  0.5569  1 W 1.80
O  0.8143  0.1033  0.9953  1 W 1.74
O  0.7264  0.6512  0.9193  1 H 0.99
O  0.0673  0.7315  0.7975  1 W 1.84
O  0.4831  0.6079  0.2207  1 W 1.78, 1 H 1.85
O  0.9106  0.2759  0.6378  1 H 0.98
O  0.2799  0.1412  0.1577  1 H 0.97
O  0.1265  0.4307  0.3787  1 W 1.83
O  0.4698  0.7448  0.6353  1 W 1.76
W  0.9598  0.9571  0.0086  3 O 1.74-1.93
W  0.9628  0.5541  0.5247  3 O 1.83-1.86
W  0.0582  0.0727  0.5561  4 O 1.80-2.02
W  0.4720  0.5210  0.4237  2 O 1.76-1.78
H  0.8705  0.3009  0.7719  1 O 0.98
H  0.2858  0.8220  0.3877  1 O 0.98
H  0.6107  0.6312  0.0007  1 O 0.99
H  0.3760  0.1383  0.0604  1 O 0.97

2 | Below is a relaxed structure of H2W2O7, with properties calculated at the PBE+U level.

Cell: 7.3532 7.3532 7.3532 Å, 119.63 119.63 90.64°
With the nearest neighbours (Å) after each atom.
Fractional coordinates of all 22 atoms:
W  0.8750  0.1250  0.7500  6 O 1.93-1.95
W  0.8750  0.1250  0.2500  6 O 1.93-1.95
W  0.3750  0.1250  0.2500  6 O 1.93-1.95
W  0.8750  0.6250  0.7500  6 O 1.93-1.95
H  0.4082  0.4082  0.0000  1 O 0.95
H  0.5918  0.5918  0.0000  1 O 0.95
H  0.1582  0.6582  0.5000  1 O 0.95
H  0.3418  0.8418  0.5000  1 O 0.95
O  0.1811  0.8189  0.0000  2 W 1.93
O  0.5689  0.4311  0.5000  2 W 1.93
O  0.1862  0.1862  0.0000  2 W 1.95
O  0.5638  0.0638  0.5000  2 W 1.95
O  0.9311  0.4311  0.8622  2 W 1.93
O  0.5000  0.5000  0.0000  2 H 0.95
O  0.9362  0.4362  0.5000  2 W 1.95
O  0.5689  0.0689  0.1378  2 W 1.93
O  0.9311  0.0689  0.5000  2 W 1.93
O  0.8189  0.1811  0.0000  2 W 1.93
O  0.1811  0.1811  0.3622  2 W 1.93
O  0.8138  0.8138  0.0000  2 W 1.95
O  0.2500  0.7500  0.5000  2 H 0.95
O  0.8189  0.8189  0.6378  2 W 1.93

3 | Below is a relaxed structure of H2W2O7, with properties calculated at the PBE+U level.

Cell: 7.1327 7.1327 7.1327 Å, 119.45 115.86 94.13°
With the nearest neighbours (Å) after each atom.
Fractional coordinates of all 22 atoms:
W  0.0092  0.9851  0.5240  7 O 1.96-2.10
W  0.9918  0.5000  0.4918  6 O 1.92-2.13
W  0.5389  0.0149  0.0240  7 O 1.96-2.10
W  0.9918  0.0000  0.9918  6 O 1.92-2.13
O  0.6619  0.3318  0.3342  2 W 1.97-2.05
O  0.0461  0.2899  0.5864  2 W 1.92-1.96
O  0.0024  0.6682  0.3300  2 W 1.97-2.05
O  0.1799  0.3545  0.3255  1 H 0.98
O  0.9710  0.6455  0.8255  1 H 0.98
O  0.2965  0.0404  0.0864  2 W 1.92-1.96
O  0.8803  0.7841  0.5962  3 W 2.03-2.13, 3 O 2.20-2.25
O  0.8121  0.2159  0.0962  3 W 2.03-2.13, 3 O 2.20-2.25
O  0.0024  0.1723  0.8342  2 W 1.97-2.05
O  0.6724  0.9075  0.2649  1 H 0.98
O  0.3574  0.0925  0.7649  1 H 0.98
O  0.2965  0.7101  0.7561  2 W 1.92-1.96
O  0.0461  0.9596  0.2561  2 W 1.92-1.96
O  0.6619  0.8277  0.8300  2 W 1.97-2.05
H  0.3412  0.4283  0.4129  1 O 0.98
H  0.4463  0.1927  0.7535  1 O 0.98
H  0.5608  0.8073  0.2535  1 O 0.98
H  0.9845  0.5717  0.9129  1 O 0.98

Relative energy table, unit eV/atom: 1 0.064; 2 0.000; 3 0.097